[1]
# Nd6Al43Cr4 | the Materials Project database | PBE | relaxed
# Crystal system: hexagonal
# Mass density, kg/m3: 3919
# ΔE_f, kJ/mol of atoms: -25.01
data_Nd6Al43Cr4
_space_group_name_H-M_alt 'P 63/m c m'
_space_group_IT_number 193
_space_group_name_Hall '-P 6c 2'
_cell_length_a 11.0718
_cell_length_b 11.0718
_cell_length_c 17.8284
_cell_angle_alpha 90.00
_cell_angle_beta 90.00
_cell_angle_gamma 120.00
loop_
_atom_site_label
_atom_site_type_symbol
_atom_site_fract_x
_atom_site_fract_y
_atom_site_fract_z
_atom_site_occupancy
Nd1 Nd 0.0000 0.4712 0.0949 1
Al1 Al 0.0000 0.1440 0.7500 1
Al2 Al 0.0000 0.1552 0.1155 1
Al3 Al 0.0000 0.2488 0.5314 1
Al4 Al 0.1431 0.5453 0.2500 1
Al5 Al 0.1577 0.3886 0.6669 1
Al6 Al 0.2473 0.4947 0.0000 1
Al7 Al 0.3333 0.6667 0.1304 1
Cr1 Cr 0.0000 0.0000 0.0000 1
Cr2 Cr 0.0000 0.2654 0.2500 1



[2]
# BaCuRu5O11 | the Materials Project database | PBE | relaxed
# Crystal system: hexagonal
# Mass density, kg/m3: 6830
# ΔE_f, kJ/mol of atoms: -147.62
data_BaCuRu5O11
_space_group_name_H-M_alt 'P 63/m m c'
_space_group_IT_number 194
_space_group_name_Hall '-P 6c 2c'
_cell_length_a 5.9372
_cell_length_b 5.9372
_cell_length_c 14.0517
_cell_angle_alpha 90.00
_cell_angle_beta 90.00
_cell_angle_gamma 120.00
loop_
_atom_site_label
_atom_site_type_symbol
_atom_site_fract_x
_atom_site_fract_y
_atom_site_fract_z
_atom_site_occupancy
Ba1 Ba 0.3333 0.6667 0.2500 1
Cu1 Cu 0.3333 0.6667 0.7500 1
Ru1 Ru 0.0000 0.0000 0.1530 1
Ru2 Ru 0.0000 0.5000 0.0000 1
O1 O 0.1472 0.2944 0.7500 1
O2 O 0.1694 0.3388 0.0803 1
O3 O 0.3333 0.6667 0.5824 1



[3]
# Pr3Gd | the Materials Project database | PBE | relaxed
# Crystal system: hexagonal
# Mass density, kg/m3: 6740
# ΔE_f, kJ/mol of atoms: 2.42
data_Pr3Gd
_space_group_name_H-M_alt 'P 63/m m c'
_space_group_IT_number 194
_space_group_name_Hall '-P 6c 2c'
_cell_length_a 7.3760
_cell_length_b 7.3760
_cell_length_c 6.0656
_cell_angle_alpha 90.00
_cell_angle_beta 90.00
_cell_angle_gamma 120.00
loop_
_atom_site_label
_atom_site_type_symbol
_atom_site_fract_x
_atom_site_fract_y
_atom_site_fract_z
_atom_site_occupancy
Pr1 Pr 0.1662 0.3325 0.2500 1
Gd1 Gd 0.3333 0.6667 0.7500 1



[4]
# Si6O13 | the Materials Project database | PBE | relaxed
# Crystal system: monoclinic
# Mass density, kg/m3: 1951
# Energy above the lowest structure with this stoichiometry, eV/atom: 0.7182
# ΔE_f, kJ/mol of atoms: -210.60
data_Si6O13
_space_group_name_H-M_alt 'P 1 m 1'
_space_group_IT_number 6
_cell_length_a 13.8013
_cell_length_b 7.6667
_cell_length_c 13.8211
_cell_angle_alpha 90.00
_cell_angle_beta 118.79
_cell_angle_gamma 90.00
loop_
_space_group_symop_operation_xyz
'x,y,z'
'x,-y,z'
loop_
_atom_site_label
_atom_site_type_symbol
_atom_site_fract_x
_atom_site_fract_y
_atom_site_fract_z
_atom_site_occupancy
Si1 Si 0.0000 0.1511 0.0000 1
Si2 Si 0.2178 0.2895 0.0112 1
Si3 Si 0.2204 0.2173 0.4269 1
Si4 Si 0.3309 0.3436 0.6734 1
Si5 Si 0.3464 0.1587 0.8837 1
Si6 Si 0.4249 0.1551 0.2165 1
Si7 Si 0.4302 0.3469 0.4218 1
Si8 Si 0.5412 0.2061 0.6644 1
Si9 Si 0.5428 0.3394 0.0880 1
Si10 Si 0.7522 0.1541 0.1002 1
Si11 Si 0.7580 0.2910 0.8841 1
Si12 Si 0.9985 0.2897 0.2157 1
O1 O 0.0328 0.2211 0.1246 1
O2 O 0.0610 0.0000 0.7802 1
O3 O 0.0901 0.2279 0.3402 1
O4 O 0.0907 0.2257 0.9661 1
O5 O 0.1141 0.0000 0.7299 1
O6 O 0.2258 0.5000 0.0228 1
O7 O 0.2422 0.2686 0.5490 1
O8 O 0.2531 0.0000 0.4240 1
O9 O 0.2595 0.2262 0.9251 1
O10 O 0.2943 0.2020 0.1317 1
O11 O 0.2982 0.3216 0.3908 1
O12 O 0.3025 0.2352 0.7586 1
O13 O 0.3615 0.0000 0.4217 1
O14 O 0.4571 0.2998 0.7003 1
O15 O 0.4597 0.2408 0.3366 1
O16 O 0.4652 0.2573 0.9633 1
O17 O 0.4989 0.2551 0.1692 1
O18 O 0.5170 0.0000 0.6494 1
O19 O 0.5200 0.2914 0.5483 1
O20 O 0.5653 0.0000 0.9001 1
O21 O 0.6281 0.5000 0.3710 1
O22 O 0.6677 0.2402 0.7593 1
O23 O 0.6689 0.2678 0.1294 1
O24 O 0.6864 0.5000 0.3260 1
O25 O 0.7301 0.2060 0.9757 1
O26 O 0.7652 0.5000 0.9010 1
O27 O 0.8775 0.2167 0.9069 1
O28 O 0.8792 0.2139 0.1920 1
O29 O 0.8824 0.0806 0.5465 1
O30 O 0.8840 0.4197 0.5504 1
O31 O 0.9695 0.5000 0.8874 1
O32 O 0.9975 0.5000 0.2133 1



[5]
# Cu5Sn2Te7 | the Materials Project database | PBE | relaxed
# Crystal system: monoclinic
# Mass density, kg/m3: 5971
# ΔE_f, kJ/mol of atoms: -34.27
data_Cu5Sn2Te7
_space_group_name_H-M_alt 'C 1 2 1'
_space_group_IT_number 5
_cell_length_a 13.6810
_cell_length_b 6.1255
_cell_length_c 9.7118
_cell_angle_alpha 90.00
_cell_angle_beta 98.19
_cell_angle_gamma 90.00
loop_
_space_group_symop_operation_xyz
'x,y,z'
'-x,y,-z'
'x+1/2,y+1/2,z'
'-x+1/2,y+1/2,-z'
loop_
_atom_site_label
_atom_site_type_symbol
_atom_site_fract_x
_atom_site_fract_y
_atom_site_fract_z
_atom_site_occupancy
Cu1 Cu 0.0000 0.0000 0.0000 1
Cu2 Cu 0.1455 0.0075 0.4270 1
Cu3 Cu 0.2141 0.5020 0.1418 1
Sn1 Sn 0.0741 0.4907 0.7237 1
Te1 Te 0.0000 0.7863 0.5000 1
Te2 Te 0.0833 0.2315 0.2074 1
Te3 Te 0.1487 0.7707 0.9457 1
Te4 Te 0.2256 0.2313 0.6382 1



[6]
# SiC | the Materials Project database | PBE | relaxed
# Crystal system: trigonal
# Mass density, kg/m3: 3173
# Energy above the lowest structure with this stoichiometry, eV/atom: 0.0317
# ΔE_f, kJ/mol of atoms: -16.60
data_SiC
_space_group_name_H-M_alt 'R 3 m'
_space_group_IT_number 160
_space_group_name_Hall 'R 3 -2"'
_cell_length_a 3.0977
_cell_length_b 3.0977
_cell_length_c 219.6951
_cell_angle_alpha 90.00
_cell_angle_beta 90.00
_cell_angle_gamma 120.00
loop_
_atom_site_label
_atom_site_type_symbol
_atom_site_fract_x
_atom_site_fract_y
_atom_site_fract_z
_atom_site_occupancy
Si1 Si 0.0000 0.0000 0.0000 1
Si2 Si 0.0000 0.0000 0.0230 1
Si3 Si 0.0000 0.0000 0.0460 1
Si4 Si 0.0000 0.0000 0.0920 1
Si5 Si 0.0000 0.0000 0.1150 1
Si6 Si 0.0000 0.0000 0.1609 1
Si7 Si 0.0000 0.0000 0.1839 1
Si8 Si 0.0000 0.0000 0.2299 1
Si9 Si 0.0000 0.0000 0.2529 1
Si10 Si 0.0000 0.0000 0.2988 1
Si11 Si 0.0000 0.0000 0.3219 1
Si12 Si 0.0000 0.0000 0.3678 1
Si13 Si 0.0000 0.0000 0.4023 1
Si14 Si 0.0000 0.0000 0.4368 1
Si15 Si 0.0000 0.0000 0.4713 1
Si16 Si 0.0000 0.0000 0.5058 1
Si17 Si 0.0000 0.0000 0.5402 1
Si18 Si 0.0000 0.0000 0.5747 1
Si19 Si 0.0000 0.0000 0.6092 1
Si20 Si 0.0000 0.0000 0.6437 1
Si21 Si 0.0000 0.0000 0.6782 1
Si22 Si 0.0000 0.0000 0.7241 1
Si23 Si 0.0000 0.0000 0.7471 1
Si24 Si 0.0000 0.0000 0.7931 1
Si25 Si 0.0000 0.0000 0.8161 1
Si26 Si 0.0000 0.0000 0.8621 1
Si27 Si 0.0000 0.0000 0.8851 1
Si28 Si 0.0000 0.0000 0.9310 1
Si29 Si 0.0000 0.0000 0.9540 1
C1 C 0.0000 0.0000 0.0144 1
C2 C 0.0000 0.0000 0.0374 1
C3 C 0.0000 0.0000 0.0833 1
C4 C 0.0000 0.0000 0.1063 1
C5 C 0.0000 0.0000 0.1523 1
C6 C 0.0000 0.0000 0.1753 1
C7 C 0.0000 0.0000 0.2213 1
C8 C 0.0000 0.0000 0.2442 1
C9 C 0.0000 0.0000 0.2902 1
C10 C 0.0000 0.0000 0.3132 1
C11 C 0.0000 0.0000 0.3592 1
C12 C 0.0000 0.0000 0.3936 1
C13 C 0.0000 0.0000 0.4281 1
C14 C 0.0000 0.0000 0.4626 1
C15 C 0.0000 0.0000 0.4971 1
C16 C 0.0000 0.0000 0.5316 1
C17 C 0.0000 0.0000 0.5661 1
C18 C 0.0000 0.0000 0.6005 1
C19 C 0.0000 0.0000 0.6350 1
C20 C 0.0000 0.0000 0.6695 1
C21 C 0.0000 0.0000 0.7155 1
C22 C 0.0000 0.0000 0.7385 1
C23 C 0.0000 0.0000 0.7845 1
C24 C 0.0000 0.0000 0.8075 1
C25 C 0.0000 0.0000 0.8534 1
C26 C 0.0000 0.0000 0.8764 1
C27 C 0.0000 0.0000 0.9224 1
C28 C 0.0000 0.0000 0.9454 1
C29 C 0.0000 0.0000 0.9914 1



[7]
# Y2Au5F21 | the Materials Project database | PBE | relaxed
# Crystal system: monoclinic
# Mass density, kg/m3: 5708
# ΔE_f, kJ/mol of atoms: -214.29
data_Y2Au5F21
_space_group_name_H-M_alt 'P 1 2/c 1'
_space_group_IT_number 13
_cell_length_a 9.2032
_cell_length_b 8.1271
_cell_length_c 15.1226
_cell_angle_alpha 90.00
_cell_angle_beta 126.56
_cell_angle_gamma 90.00
loop_
_space_group_symop_operation_xyz
'x,y,z'
'-x,-y,-z'
'-x,y,-z+1/2'
'x,-y,z+1/2'
loop_
_atom_site_label
_atom_site_type_symbol
_atom_site_fract_x
_atom_site_fract_y
_atom_site_fract_z
_atom_site_occupancy
Y1 Y 0.1847 0.1679 0.0020 1
Au1 Au 0.1279 0.3318 0.4049 1
Au2 Au 0.3058 0.0602 0.7936 1
Au3 Au 0.5000 0.4820 0.7500 1
F1 F 0.0000 0.0000 0.0000 1
F2 F 0.0151 0.3251 0.0351 1
F3 F 0.0816 0.1741 0.6789 1
F4 F 0.1196 0.4267 0.9100 1
F5 F 0.1427 0.0899 0.3975 1
F6 F 0.2530 0.3462 0.3380 1
F7 F 0.3043 0.1998 0.8997 1
F8 F 0.3067 0.0832 0.1894 1
F9 F 0.3962 0.3507 0.1308 1
F10 F 0.4007 0.3105 0.6390 1
F11 F 0.4627 0.0364 0.0845 1



[8]
# Fe6WN4 | the Materials Project database | PBE | relaxed
# Crystal system: tetragonal
# Mass density, kg/m3: 8984
# ΔE_f, kJ/mol of atoms: 4.09
data_Fe6WN4
_space_group_name_H-M_alt 'P 42/n m c'
_space_group_IT_number 137
_cell_length_a 6.7634
_cell_length_b 6.7634
_cell_length_c 4.6464
_cell_angle_alpha 90.00
_cell_angle_beta 90.00
_cell_angle_gamma 90.00
loop_
_space_group_symop_operation_xyz
'x,y,z'
'-x,-y,-z'
'-y+1/2,x,z+1/2'
'y+1/2,-x,-z+1/2'
'-x+1/2,-y+1/2,z'
'x+1/2,y+1/2,-z'
'y,-x+1/2,z+1/2'
'-y,x+1/2,-z+1/2'
'x+1/2,-y,-z'
'-x+1/2,y,z'
'-y,-x,-z+1/2'
'y,x,z+1/2'
'-x,y+1/2,-z'
'x,-y+1/2,z'
'y+1/2,x+1/2,-z+1/2'
'-y+1/2,-x+1/2,z+1/2'
loop_
_atom_site_label
_atom_site_type_symbol
_atom_site_fract_x
_atom_site_fract_y
_atom_site_fract_z
_atom_site_occupancy
Fe1 Fe 0.0558 0.5558 0.2500 1
Fe2 Fe 0.2500 0.2500 0.2370 1
W1 W 0.2500 0.7500 0.7500 1
N1 N 0.0194 0.2500 0.4643 1